Record 1
! RbRhO3 | the Materials Project database | PBE | optimized geometry; values from VASP
&SYSTEM
  ibrav = 0, nat = 5, ntyp = 3
/
ATOMIC_SPECIES
Rb 85.47 Rb.upf
Rh 102.91 Rh.upf
O 16.00 O.upf
ATOMIC_POSITIONS angstrom
Rb 0.0000 0.0000 0.0000
Rh 2.0214 2.0214 2.0214
O 0.0000 2.0214 2.0214
O 2.0214 0.0000 2.0214
O 2.0214 2.0214 0.0000
CELL_PARAMETERS angstrom
4.0427 0.0000 0.0000
0.0000 4.0427 0.0000
0.0000 0.0000 4.0427
! MP2020-corrected energy = -5.75 eV/atom
! V = 13.2 Å³/atom
! energy relative to the elements = -1109 meV/atom

---

Record 2
! Gd2AlGe2 | the Materials Project database | PBE | optimized geometry; values from VASP
&SYSTEM
  ibrav = 0, nat = 10, ntyp = 3
/
ATOMIC_SPECIES
Gd 157.25 Gd.upf
Al 26.98 Al.upf
Ge 72.64 Ge.upf
ATOMIC_POSITIONS angstrom
Gd 1.1971 0.7397 1.1054
Gd 0.1756 -0.7397 4.8621
Gd 8.1087 0.7397 2.6513
Gd 7.0871 -0.7397 6.4080
Al 4.6529 0.9304 1.8784
Al 3.6313 -0.9304 5.6351
Ge 2.7215 0.7323 3.7704
Ge 3.7430 -0.7323 0.0137
Ge 4.5412 0.7323 7.4997
Ge 5.5628 -0.7323 3.7430
CELL_PARAMETERS angstrom
5.1637 -2.8491 0.0000
5.1637 2.8491 0.0000
-2.0431 0.0000 7.5134
! V = 22.1 Å³/atom
! energy relative to the elements = -738 meV/atom

---

Record 3
! Cr3Ga | the Materials Project database | PBE | optimized geometry; values from VASP
&SYSTEM
  ibrav = 0, nat = 8, ntyp = 2
/
ATOMIC_SPECIES
Cr 52.00 Cr.upf
Ga 69.72 Ga.upf
ATOMIC_POSITIONS angstrom
Cr 0.0000 1.1493 2.2986
Cr 0.0000 3.4479 2.2986
Cr 1.1493 2.2986 0.0000
Cr 2.2986 0.0000 1.1493
Cr 2.2986 0.0000 3.4479
Cr 3.4479 2.2986 0.0000
Ga 0.0000 0.0000 0.0000
Ga 2.2986 2.2986 2.2986
CELL_PARAMETERS angstrom
4.5972 0.0000 0.0000
0.0000 4.5972 0.0000
0.0000 0.0000 4.5972
! V = 12.1 Å³/atom
! energy relative to the elements = -42 meV/atom

---

Record 4
! Mg14ZnMo | the Materials Project database | PBE | optimized geometry; values from VASP
&SYSTEM
  ibrav = 0, nat = 16, ntyp = 3
/
ATOMIC_SPECIES
Mg 24.30 Mg.upf
Zn 65.41 Zn.upf
Mo 95.94 Mo.upf
ATOMIC_POSITIONS angstrom
Mg 0.0000 0.0000 0.0000
Mg 0.0000 -1.5564 2.7235
Mg 0.0000 1.5564 2.7235
Mg 0.0000 0.0000 5.4141
Mg 2.5309 0.0000 7.2080
Mg 2.5626 0.0000 1.7531
Mg 2.6298 -1.5894 4.5609
Mg 2.6298 1.5894 4.5609
Mg 4.9802 -1.5495 2.7081
Mg 4.9802 1.5495 2.7081
Mg 7.3306 -1.5894 4.5609
Mg 7.3306 1.5894 4.5609
Mg 7.3978 0.0000 1.7531
Mg 7.4295 0.0000 7.2080
Zn 4.9802 0.0000 5.4248
Mo 4.9802 0.0000 0.0234
CELL_PARAMETERS angstrom
9.9604 0.0000 0.0000
0.0000 3.1251 5.4194
0.0000 -3.1251 5.4194
! V = 21.1 Å³/atom
! energy relative to the elements = 97 meV/atom
! relative energy among the computed polymorphs = 8.0 meV per atom

---

Record 5
! Na3PrCl6 | the Materials Project database | PBE | optimized geometry; values from VASP
&SYSTEM
  ibrav = 0, nat = 10, ntyp = 3
/
ATOMIC_SPECIES
Na 22.99 Na.upf
Pr 140.91 Pr.upf
Cl 35.45 Cl.upf
ATOMIC_POSITIONS angstrom
Na 0.0000 0.0000 0.0000
Na 2.7208 2.7208 2.7208
Na 8.1625 8.1625 8.1625
Pr 5.4417 5.4417 5.4417
Cl 5.4417 5.4417 2.7097
Cl 5.4417 2.7097 5.4417
Cl 8.1736 5.4417 5.4417
Cl 2.7097 5.4417 5.4417
Cl 5.4417 8.1736 5.4417
Cl 5.4417 5.4417 8.1736
CELL_PARAMETERS angstrom
0.0000 5.4417 5.4417
5.4417 0.0000 5.4417
5.4417 5.4417 0.0000
! MP2020-corrected energy = -4.17 eV/atom
! V = 32.2 Å³/atom
! energy relative to the elements = -2187 meV/atom

---

Record 6
! Na3HfInSiP2O12 | the Materials Project database | PBE | optimized geometry; values from VASP
&SYSTEM
  ibrav = 0, nat = 80, ntyp = 6
/
ATOMIC_SPECIES
Si 28.09 Si.upf
P 30.97 P.upf
O 16.00 O.upf
Na 22.99 Na.upf
In 114.82 In.upf
Hf 178.49 Hf.upf
ATOMIC_POSITIONS angstrom
Si -6.2030 -9.9553 0.9807
P -9.3135 -8.0644 -5.3819
O 0.1547 -2.9997 4.8171
P -12.3908 -3.6393 -6.8209
P -10.4556 -11.6274 -2.1313
Si -1.0815 -3.9026 5.4789
O 0.9799 -6.0139 0.3122
O -4.5081 -5.3074 -3.1205
O -0.8687 -0.4982 7.8412
Si -7.8773 -3.0073 -3.6915
Na -6.2462 -2.3245 2.3108
O -4.3404 -1.7022 3.7034
O -2.4758 -3.4835 4.7001
O -1.2039 -3.4676 7.0211
In -0.7237 -2.5672 -0.3673
Na -7.7123 -9.2200 -2.2447
In 0.2849 -6.8620 4.2603
P -5.3341 -5.5747 2.3669
Na -4.3245 -9.7089 -2.1207
Na -1.6651 -7.1316 6.8755
O -6.3255 -9.5203 2.5229
O -6.1016 -10.2680 -3.5739
O -6.3560 -3.2403 -4.3342
P -9.8424 -6.2309 -0.8573
Na 0.7970 -3.6562 2.3775
O -6.4982 -4.9769 1.5433
O -9.4619 -7.7549 -0.7948
Na -2.5908 -3.1672 2.2535
O -9.6977 -6.5401 -5.3707
O -4.5805 -4.4238 3.0876
O -9.7020 -10.4765 -1.4106
O -8.7670 -5.4648 -0.0704
O -1.4311 -8.2385 4.5761
O 0.8377 -7.7506 6.1897
O -0.6710 -1.4624 1.5286
O -9.6296 -11.3602 -7.6187
O -2.5614 -8.6698 2.2541
O -5.2947 -2.8290 -0.2122
Hf -3.3641 -7.8173 0.4781
Si -0.5413 -5.7810 0.9550
O -8.9025 -4.0592 -4.4456
O -1.5666 -6.8328 0.2009
O -8.0101 -8.2070 -4.5798
Na -2.2075 -1.2109 5.6076
Na -7.6007 -5.9062 -3.4689
O -9.8973 -5.8962 -2.3924
O -5.7925 -7.5151 -2.9696
O -11.6588 -3.5470 -3.1945
O -4.3229 -6.3207 1.4520
O -3.8530 -7.0486 -1.4238
O -4.0702 -2.3810 -2.4070
P -2.5065 -9.0045 3.7892
In -7.0511 -4.0883 -0.3862
O -11.1890 -4.2750 -6.0702
Na 1.0898 -5.0981 6.9572
O -3.8697 -8.7837 4.4433
P -5.0548 -6.4130 -2.1745
O -0.9801 -4.2153 0.9243
O -5.9902 -6.5509 3.3430
O -2.8886 -2.1542 -0.0816
Hf -4.5274 -3.4557 4.9603
Na -9.0011 -4.3580 2.2291
Hf -10.7001 -5.0436 -4.1684
Hf -9.6489 -9.5085 0.4621
O -8.0652 -2.7165 0.8548
In -5.8452 -8.6199 -4.8655
Na -0.2647 -8.6798 1.1776
O -2.3618 -9.3138 -0.7242
O -6.1017 -5.8317 -1.2246
O 1.2343 -8.6054 3.4219
O -7.7921 -3.3996 -2.1354
O -10.4162 -8.8817 -4.7104
O -7.5973 -9.5362 0.2019
P -4.1920 -2.0117 -0.8837
O -4.9668 -9.0524 0.3189
O -0.4562 -6.1733 2.5110
O -0.7292 -5.4901 5.5012
O -11.2057 -6.0100 -0.2032
Na -7.3291 -7.2636 1.1094
O -9.1917 -8.4337 -6.9052
CELL_PARAMETERS angstrom
-12.4575 -3.2791 -9.1447
2.2145 -8.8264 0.1483
-0.1659 0.1114 9.1091
! MP2020-corrected energy = -7.46 eV/atom
! V = 13.5 Å³/atom
! energy relative to the elements = -2846 meV/atom
! relative energy among the computed polymorphs = 8.5 meV per atom

---

Record 7
! Ho2MgTiO6 | the Materials Project database | PBE | optimized geometry; values from VASP
&SYSTEM
  ibrav = 0, nat = 20, ntyp = 4
/
ATOMIC_SPECIES
Ho 164.93 Ho.upf
Mg 24.30 Mg.upf
Ti 47.87 Ti.upf
O 16.00 O.upf
ATOMIC_POSITIONS angstrom
Ho -0.0815 0.3672 1.8920
Ho -2.7015 2.4484 5.7479
Ho 2.7802 3.1828 1.9640
Ho 0.1603 5.2640 5.8200
Mg -2.6199 0.0000 3.8560
Mg 0.0000 2.8156 0.0000
Ti 2.6593 0.0000 0.0000
Ti 0.0394 2.8156 3.8560
O -4.1861 1.0591 7.2947
O -1.5661 1.7565 3.4387
O -3.5732 3.9733 7.1975
O -0.9532 4.4734 3.3416
O -1.9713 0.2774 5.8435
O 0.6487 2.5382 1.9875
O -0.5699 3.0929 5.7244
O 2.0500 5.3538 1.8685
O 1.0320 1.1577 4.3704
O 3.6519 1.6579 0.5144
O 1.6449 3.8747 4.2732
O 4.2648 4.5720 0.4172
CELL_PARAMETERS angstrom
5.3187 0.0000 0.0000
0.0000 5.6312 0.0000
-5.2399 0.0000 7.7119
! MP2020-corrected energy = -8.54 eV/atom
! V = 11.5 Å³/atom
! energy relative to the elements = -3710 meV/atom

---

Record 8
! ZnC8N2Cl4 | the Materials Project database | PBE | optimized geometry; values from VASP
&SYSTEM
  ibrav = 0, nat = 60, ntyp = 4
/
ATOMIC_SPECIES
Zn 65.41 Zn.upf
C 12.01 C.upf
N 14.01 N.upf
Cl 35.45 Cl.upf
ATOMIC_POSITIONS angstrom
Zn 2.4859 2.0886 1.0122
Zn 3.8886 6.2658 9.1348
Zn 8.8604 2.0886 7.1104
Zn 10.2631 6.2658 15.2329
C 0.1415 4.9979 13.7665
C 0.1415 7.5338 13.7665
C 0.1473 6.2658 7.1430
C 0.3438 5.3054 6.1422
C 0.3438 7.2263 6.1422
C 0.5932 6.2658 14.2037
C 0.8417 2.0886 12.2431
C 3.0932 6.2658 14.8385
C 3.2814 2.0886 6.7159
C 5.5328 6.2658 4.1205
C 5.7813 2.0886 6.0811
C 6.0307 1.1282 14.2648
C 6.0307 3.0491 14.2648
C 6.2272 2.0886 15.2655
C 6.2330 0.8206 5.6439
C 6.2330 3.3566 5.6439
C 6.5160 4.9979 10.6012
C 6.5160 7.5338 10.6012
C 6.5218 6.2658 0.9796
C 6.7183 5.3054 1.9804
C 6.7183 7.2263 1.9804
C 6.9677 6.2658 10.1641
C 7.2162 2.0886 12.1246
C 9.4677 6.2658 9.5292
C 9.6559 2.0886 1.4067
C 11.9073 6.2658 4.0020
C 12.1558 2.0886 2.0415
C 12.4053 1.1282 10.1030
C 12.4053 3.0491 10.1030
C 12.6017 2.0886 9.1022
C 12.6075 0.8206 2.4787
C 12.6075 3.3566 2.4787
N 0.1628 2.0886 11.2231
N 1.9561 6.2658 14.5142
N 4.4184 2.0886 6.3916
N 6.2117 6.2658 3.1005
N 6.5373 2.0886 13.1446
N 8.3306 6.2658 9.8535
N 10.7929 2.0886 1.7310
N 12.5862 6.2658 5.0220
Cl 0.3442 6.2658 8.8013
Cl 1.5969 0.4664 2.4076
Cl 1.5969 3.7109 2.4076
Cl 2.6926 2.0886 15.1792
Cl 3.6819 6.2658 7.0566
Cl 4.7777 4.6436 10.5302
Cl 4.7777 7.8881 10.5302
Cl 6.0303 2.0886 0.6788
Cl 6.7187 6.2658 15.5664
Cl 7.9714 0.4664 5.7150
Cl 7.9714 3.7109 5.7150
Cl 9.0671 2.0886 9.1886
Cl 10.0564 6.2658 1.0660
Cl 11.1522 4.6436 13.8376
Cl 11.1522 7.8881 13.8376
Cl 12.4048 2.0886 7.4438
CELL_PARAMETERS angstrom
12.7490 0.0000 0.0000
0.0000 8.3544 0.0000
0.0000 0.0000 16.2451
! MP2020-corrected energy = -5.62 eV/atom
! V = 28.8 Å³/atom
! energy relative to the elements = 989 meV/atom
! relative energy among the computed polymorphs = 134.7 meV per atom